Na3H6Rh: optimized geometry, r2SCAN.

It has space group Pnma (No. 62), with a = 9.2561 Å, b = 5.1870 Å, c = 9.4947 Å, α = 90.00°, β = 90.00° and γ = 90.00°. Symmetry generates all atoms from Na at (0.0443, 0.2500, 0.1272), Na at (0.1026, 0.7500, 0.5339), Na at (0.2198, 0.2500, 0.7504), H at (0.1096, 0.0304, 0.3375), H at (0.1256, 0.2500, 0.5460), H at (0.1695, 0.5218, 0.9650), H at (0.1870, 0.7500, 0.7509) and Rh at (0.2218, 0.2500, 0.4005).

For the energy of formation from the pure elements, the calculation gives -0.4185 eV per atom.



Na4H6Ru: optimized geometry, r2SCAN.

It has space group R-3c (No. 167, hexagonal axes), with a = 9.0544 Å, b = 9.0544 Å, c = 11.2973 Å, α = 90.00°, β = 90.00° and γ = 120.00°. Symmetry generates all atoms from Na at (0.0000, 0.0000, 0.2500), Na at (0.0000, 0.3837, 0.2500), H at (0.0325, 0.1711, 0.4114) and Ru at (0.0000, 0.0000, 0.0000).

For the energy of formation from the pure elements, the calculation gives -0.3545 eV per atom.



NbH2: optimized geometry, r2SCAN.

It has space group Fm-3m (No. 225), with a = 4.5691 Å, b = 4.5691 Å, c = 4.5691 Å, α = 90.00°, β = 90.00° and γ = 90.00°. Symmetry generates all atoms from Nb at (0.0000, 0.0000, 0.0000) and H at (0.2500, 0.2500, 0.2500).

For the energy of formation from the pure elements, the calculation gives -0.2444 eV per atom.



Values of calculated density, in order: 2.6 2.5 6.6, all in Mg/m³.